A plane-wave DFT calculation with PBE+U was carried out for crystalline Li7Mn2Co3O12 at its relaxed geometry.

Calculated values
- Relative energy among the computed polymorphs: 0.101 eV/atom
- Symmetry: P1, No. 1
- Calculated volume: 9.03 Å³/atom

Unit cell a=3.0035 b=5.0082 c=14.4340 alpha=87.67 beta=88.32 gamma=87.88
Sites, in units of the cell vectors:
Li 0.0000 0.0000 0.0000
Li 0.0010 0.0039 0.5001
Li 0.0082 0.6724 0.3416
Li 0.4963 0.1582 0.3444
Li 0.5032 0.8426 0.6583
Li 0.5046 0.5088 0.9979
Li 0.9942 0.3379 0.6580
Mn 0.0029 0.3365 0.1676
Mn 0.5002 0.1710 0.8320
Co 0.5012 0.5043 0.4995
Co 0.5032 0.8369 0.1681
Co 0.9993 0.6710 0.8311
O 0.0146 0.3536 0.4267
O 0.0340 0.0053 0.2440
O 0.0343 0.3486 0.9118
O 0.4769 0.1614 0.0914
O 0.4925 0.8459 0.9102
O 0.4956 0.7987 0.4247
O 0.5071 0.2109 0.5740
O 0.5120 0.4990 0.7564
O 0.5255 0.5093 0.2417
O 0.9678 0.6681 0.0912
O 0.9677 0.9932 0.7528
O 0.9881 0.6544 0.5717